No. 1
## NbSeBr (meta-GGA r2SCAN)

Data for a relaxed NbSeBr crystal.

a = 7.450 Å, b = 7.450 Å, c = 7.450 Å
α = 60.00°, β = 60.00°, γ = 60.00°
Atoms (fractional coordinates):
Nb (0.398, 0.398, 0.398)
Nb (0.398, 0.398, 0.805)
Nb (0.398, 0.805, 0.398)
Nb (0.805, 0.398, 0.398)
Se (0.096, 0.635, 0.635)
Se (0.635, 0.096, 0.635)
Se (0.635, 0.635, 0.096)
Se (0.635, 0.635, 0.635)
Br (0.130, 0.130, 0.130)
Br (0.130, 0.130, 0.609)
Br (0.130, 0.609, 0.130)
Br (0.609, 0.130, 0.130)

The value obtained for the uncorrected energy is -18.4905 eV per atom. The total magnetization is 0.17 μB per atom.

---

No. 2
## CdGe2O5 (meta-GGA r2SCAN)

Data for a relaxed CdGe2O5 crystal.

a = 5.365 Å, b = 5.545 Å, c = 6.936 Å
α = 105.27°, β = 102.14°, γ = 106.93°
Atoms (fractional coordinates):
Cd (0.162, 0.312, 0.266)
Cd (0.838, 0.688, 0.734)
Ge (0.186, 0.319, 0.750)
Ge (0.500, 0.000, 0.000)
Ge (0.500, 0.000, 0.500)
Ge (0.814, 0.681, 0.250)
O (0.124, 0.779, 0.450)
O (0.209, 0.125, 0.911)
O (0.225, 0.644, 0.900)
O (0.415, 0.054, 0.248)
O (0.434, 0.323, 0.619)
O (0.566, 0.677, 0.381)
O (0.585, 0.946, 0.752)
O (0.775, 0.356, 0.100)
O (0.791, 0.875, 0.089)
O (0.876, 0.221, 0.550)

The value obtained for the uncorrected energy is -11.4263 eV per atom. The total magnetization is 0.00 μB per atom.

---

No. 3
## NaZnSb (meta-GGA r2SCAN)

Data for a relaxed NaZnSb crystal.

a = 4.430 Å, b = 4.430 Å, c = 7.405 Å
α = 90.00°, β = 90.00°, γ = 90.00°
Atoms (fractional coordinates):
Na (0.250, 0.250, 0.157)
Na (0.750, 0.750, 0.843)
Zn (0.250, 0.750, 0.500)
Zn (0.750, 0.250, 0.500)
Sb (0.250, 0.250, 0.723)
Sb (0.750, 0.750, 0.277)

The value obtained for the uncorrected energy is -13.1296 eV per atom. The total magnetization is 0.00 μB per atom.

---

No. 4
## YbC2 (meta-GGA r2SCAN)

Data for a relaxed YbC2 crystal.

a = 3.570 Å, b = 3.570 Å, c = 6.051 Å
α = 90.00°, β = 90.00°, γ = 90.00°
Atoms (fractional coordinates):
Yb (0.000, 0.000, 0.000)
Yb (0.500, 0.500, 0.500)
C (0.000, 0.000, 0.393)
C (0.000, 0.000, 0.607)
C (0.500, 0.500, 0.107)
C (0.500, 0.500, 0.893)

The value obtained for the uncorrected energy is -19.1850 eV per atom. The total magnetization is 0.00 μB per atom.

---

No. 5
## Ba2CdS3 (meta-GGA r2SCAN)

Data for a relaxed Ba2CdS3 crystal.

a = 9.027 Å, b = 4.383 Å, c = 17.446 Å
α = 90.00°, β = 90.00°, γ = 90.00°
Atoms (fractional coordinates):
Ba (0.081, 0.250, 0.215)
Ba (0.235, 0.250, 0.958)
Ba (0.265, 0.750, 0.458)
Ba (0.419, 0.750, 0.715)
Ba (0.581, 0.250, 0.285)
Ba (0.735, 0.250, 0.542)
Ba (0.765, 0.750, 0.042)
Ba (0.919, 0.750, 0.785)
Cd (0.121, 0.250, 0.631)
Cd (0.379, 0.750, 0.131)
Cd (0.621, 0.250, 0.869)
Cd (0.879, 0.750, 0.369)
S (0.015, 0.250, 0.404)
S (0.122, 0.750, 0.073)
S (0.182, 0.250, 0.774)
S (0.318, 0.750, 0.274)
S (0.378, 0.250, 0.573)
S (0.485, 0.750, 0.904)
S (0.515, 0.250, 0.096)
S (0.622, 0.750, 0.427)
S (0.682, 0.250, 0.726)
S (0.818, 0.750, 0.226)
S (0.878, 0.250, 0.927)
S (0.985, 0.750, 0.596)

The value obtained for the uncorrected energy is -18.0411 eV per atom. The total magnetization is 0.00 μB per atom.

---

No. 6
## K2DyF5 (meta-GGA r2SCAN)

Data for a relaxed K2DyF5 crystal.

a = 10.700 Å, b = 7.233 Å, c = 6.537 Å
α = 90.00°, β = 90.00°, γ = 90.00°
Atoms (fractional coordinates):
K (0.171, 0.004, 0.037)
K (0.171, 0.496, 0.037)
K (0.329, 0.504, 0.537)
K (0.329, 0.996, 0.537)
K (0.671, 0.004, 0.463)
K (0.671, 0.496, 0.463)
K (0.829, 0.504, 0.963)
K (0.829, 0.996, 0.963)
Dy (0.003, 0.250, 0.565)
Dy (0.497, 0.750, 0.065)
Dy (0.503, 0.250, 0.935)
Dy (0.997, 0.750, 0.435)
F (0.012, 0.250, 0.899)
F (0.076, 0.535, 0.649)
F (0.076, 0.965, 0.649)
F (0.168, 0.250, 0.369)
F (0.195, 0.750, 0.338)
F (0.305, 0.250, 0.838)
F (0.332, 0.750, 0.869)
F (0.424, 0.035, 0.149)
F (0.424, 0.465, 0.149)
F (0.488, 0.750, 0.399)
F (0.512, 0.250, 0.601)
F (0.576, 0.535, 0.851)
F (0.576, 0.965, 0.851)
F (0.668, 0.250, 0.131)
F (0.695, 0.750, 0.162)
F (0.805, 0.250, 0.662)
F (0.832, 0.750, 0.631)
F (0.924, 0.035, 0.351)
F (0.924, 0.465, 0.351)
F (0.988, 0.750, 0.101)

The value obtained for the uncorrected energy is -11.2228 eV per atom. The total magnetization is 0.00 μB per atom.

---

No. 7
## YbNdHg2 (meta-GGA r2SCAN)

Data for a relaxed YbNdHg2 crystal.

a = 7.463 Å, b = 7.463 Å, c = 7.463 Å
α = 90.00°, β = 90.00°, γ = 90.00°
Atoms (fractional coordinates):
Yb (0.000, 0.000, 0.000)
Yb (0.000, 0.500, 0.500)
Yb (0.500, 0.000, 0.500)
Yb (0.500, 0.500, 0.000)
Nd (0.000, 0.000, 0.500)
Nd (0.000, 0.500, 0.000)
Nd (0.500, 0.000, 0.000)
Nd (0.500, 0.500, 0.500)
Hg (0.250, 0.250, 0.250)
Hg (0.250, 0.250, 0.750)
Hg (0.250, 0.750, 0.250)
Hg (0.250, 0.750, 0.750)
Hg (0.750, 0.250, 0.250)
Hg (0.750, 0.250, 0.750)
Hg (0.750, 0.750, 0.250)
Hg (0.750, 0.750, 0.750)

The value obtained for the uncorrected energy is -41.7199 eV per atom. The total magnetization is 0.00 μB per atom.

---

No. 8
## SmEr3Se6 (meta-GGA r2SCAN)

Data for a relaxed SmEr3Se6 crystal.

a = 11.496 Å, b = 4.082 Å, c = 11.761 Å
α = 90.00°, β = 109.20°, γ = 90.00°
Atoms (fractional coordinates):
Sm (0.046, 0.250, 0.195)
Sm (0.954, 0.750, 0.805)
Er (0.160, 0.250, 0.586)
Er (0.318, 0.750, 0.999)
Er (0.437, 0.250, 0.333)
Er (0.563, 0.750, 0.667)
Er (0.682, 0.250, 0.001)
Er (0.840, 0.750, 0.414)
Se (0.082, 0.750, 0.405)
Se (0.115, 0.250, 0.965)
Se (0.197, 0.750, 0.750)
Se (0.260, 0.750, 0.226)
Se (0.394, 0.250, 0.560)
Se (0.479, 0.250, 0.114)
Se (0.521, 0.750, 0.886)
Se (0.606, 0.750, 0.440)
Se (0.740, 0.250, 0.774)
Se (0.803, 0.250, 0.250)
Se (0.885, 0.750, 0.035)
Se (0.918, 0.250, 0.595)

The value obtained for the uncorrected energy is -23.9102 eV per atom. The total magnetization is 0.00 μB per atom.

---

Number 1: formation energy from the elements -1.056 eV per atom. Number 2: formation energy from the elements -1.712 eV per atom. Number 3: formation energy from the elements -0.403 eV per atom. Number 4: formation energy from the elements -0.377 eV per atom. Number 5: formation energy from the elements -1.840 eV per atom. Number 6: formation energy from the elements -3.767 eV per atom. Number 7: formation energy from the elements -0.549 eV per atom. Number 8: formation energy from the elements -2.172 eV per atom.